[1]
# Mg6SnBiO8, relaxed, DFT PBE
data_Mg6SnBiO8
_space_group_name_H-M_alt 'P 4/m m m'
_space_group_IT_number 123
_space_group_name_Hall '-P 4 2'
_cell_length_a 4.646
_cell_length_b 4.646
_cell_length_c 9.230
_cell_angle_alpha 90.00
_cell_angle_beta 90.00
_cell_angle_gamma 90.00
loop_
_atom_site_label
_atom_site_type_symbol
_atom_site_fract_x
_atom_site_fract_y
_atom_site_fract_z
Mg1 Mg 0.000 0.000 0.000
Mg2 Mg 0.000 0.000 0.500
Mg3 Mg 0.000 0.500 0.244
Sn1 Sn 0.500 0.500 0.000
Bi1 Bi 0.500 0.500 0.500
O1 O 0.000 0.000 0.246
O2 O 0.000 0.500 0.000
O3 O 0.000 0.500 0.500
O4 O 0.500 0.500 0.246
# ΔE_f = -2.1954 eV per atom
# Excess energy over the best structure of this formula in the dataset = 0.067 eV per atom

=====

[2]
# Mg30SnBiO32, relaxed, DFT PBE
data_Mg30SnBiO32
_space_group_name_H-M_alt 'P 4/m m m'
_space_group_IT_number 123
_space_group_name_Hall '-P 4 2'
_cell_length_a 8.709
_cell_length_b 8.709
_cell_length_c 8.720
_cell_angle_alpha 90.00
_cell_angle_beta 90.00
_cell_angle_gamma 90.00
loop_
_atom_site_label
_atom_site_type_symbol
_atom_site_fract_x
_atom_site_fract_y
_atom_site_fract_z
Mg1 Mg 0.000 0.000 0.000
Mg2 Mg 0.000 0.253 0.244
Mg3 Mg 0.000 0.500 0.000
Mg4 Mg 0.000 0.500 0.500
Mg5 Mg 0.244 0.500 0.242
Mg6 Mg 0.247 0.247 0.500
Mg7 Mg 0.249 0.249 0.000
Mg8 Mg 0.500 0.500 0.000
Sn1 Sn 0.000 0.000 0.500
Bi1 Bi 0.500 0.500 0.500
O1 O 0.000 0.000 0.229
O2 O 0.000 0.253 0.000
O3 O 0.000 0.269 0.500
O4 O 0.000 0.500 0.244
O5 O 0.233 0.500 0.500
O6 O 0.247 0.500 0.000
O7 O 0.250 0.250 0.251
O8 O 0.500 0.500 0.229
# ΔE_f = -2.8246 eV per atom
# Excess energy over the best structure of this formula in the dataset = 0.000 eV per atom

=====

What is the excess energy over the best structure of this formula in the dataset in the first record?
0.067 eV per atom

=====

Which value of ΔE_f does entry 2 give?
-2.8246 eV per atom